DFT (GGA-PBE) results for a relaxed structure of CaCuAs2O7.

```
CaCuAs2O7
1.0
9.062 0.000 0.000
0.000 7.338 0.000
0.000 3.118 8.926
Ca Cu As O
4 4 8 28
direct
0.066 0.753 0.938
0.566 0.247 0.562
0.934 0.247 0.062
0.434 0.753 0.438
0.949 0.217 0.679
0.449 0.783 0.821
0.051 0.783 0.321
0.551 0.217 0.179
0.763 0.579 0.738
0.263 0.421 0.762
0.237 0.421 0.262
0.737 0.579 0.238
0.700 0.975 0.959
0.200 0.025 0.541
0.300 0.025 0.041
0.800 0.975 0.459
0.682 0.153 0.038
0.182 0.847 0.462
0.318 0.847 0.962
0.818 0.153 0.538
0.582 0.650 0.721
0.082 0.350 0.779
0.418 0.350 0.279
0.918 0.650 0.221
0.861 0.569 0.893
0.361 0.431 0.607
0.139 0.431 0.107
0.639 0.569 0.393
0.862 0.749 0.585
0.362 0.251 0.915
0.138 0.251 0.415
0.638 0.749 0.085
0.913 0.994 0.309
0.413 0.006 0.191
0.087 0.006 0.691
0.587 0.994 0.809
0.730 0.365 0.201
0.230 0.635 0.299
0.270 0.635 0.799
0.770 0.365 0.701
0.619 0.986 0.417
0.119 0.014 0.083
0.381 0.014 0.583
0.881 0.986 0.917
```

Its crystal system is monoclinic. As for the magnetic moment: 4.00 μB per cell. The uncorrected energy comes out at -6.06 eV/atom.